16
Lattice="-4.307 4.307 6.035 4.307 -4.307 6.035 4.307 4.307 -6.035" Properties=species:S:1:pos:R:3 comment="Nd3In4Ge (GGA-PBE, relaxed)" energy_ev_per_atom=-4.302 density_g_cm3=7.154 magnetic_moment_mub_per_fu=0.001 delta_e_f_ev_per_atom=-0.5605 spacegroup="No. 140" vol_a3_per_atom=27.986 pbc="T T T"
Nd 5.725 1.418 0.000
Nd 0.000 0.000 3.018
Nd 1.418 2.888 0.000
Nd 2.888 1.418 6.035
Nd 0.000 0.000 9.053
Nd -1.418 2.888 6.035
In 5.518 -1.211 2.137
In 3.095 -1.211 3.899
In 3.095 1.211 2.137
In 5.518 1.211 3.899
In -1.211 3.095 2.137
In 1.211 3.095 3.899
In 1.211 5.518 2.137
In -1.211 5.518 3.899
Ge 0.000 0.000 0.000
Ge 0.000 0.000 6.035

***

21
Lattice="11.473 0.000 0.000 -5.736 9.936 0.000 0.000 0.000 4.163" Properties=species:S:1:pos:R:3 comment="Nd7In6Ni5Ge3 (GGA-PBE, relaxed)" energy_ev_per_atom=-5.011 density_g_cm3=7.733 magnetic_moment_mub_per_fu=0.267 delta_e_f_ev_per_atom=-0.5987 spacegroup="No. 174" vol_a3_per_atom=22.598 pbc="T T T"
Nd 0.000 0.000 0.000
Nd -3.134 6.931 0.000
Nd 1.301 3.756 0.000
Nd 3.865 0.839 0.000
Nd 1.833 9.185 0.000
Nd 4.530 6.169 0.000
Nd 8.814 2.927 0.000
In -1.117 5.154 2.082
In -0.714 8.326 2.082
In 1.831 6.391 2.082
In 3.895 3.473 2.082
In 6.518 1.636 2.082
In 6.797 4.826 2.082
Ni 1.883 1.632 2.082
Ni 0.000 6.624 0.000
Ni 5.736 3.312 0.000
Ni 9.118 0.814 2.082
Ni 6.208 7.489 2.082
Ge -0.444 2.303 2.082
Ge -3.520 9.169 2.082
Ge 3.964 8.399 2.082

***

11
Lattice="7.673 -2.096 0.000 7.673 2.096 0.000 -2.231 0.000 6.624" Properties=species:S:1:pos:R:3 comment="Tm4InNi2Ge4 (GGA-PBE, relaxed)" energy_ev_per_atom=-5.371 density_g_cm3=9.341 magnetic_moment_mub_per_fu=0.003 delta_e_f_ev_per_atom=-0.7616 spacegroup="No. 12" vol_a3_per_atom=19.368 pbc="T T T"
Tm 0.529 0.000 2.590
Tm 0.304 0.000 6.208
Tm 12.811 0.000 0.416
Tm 12.586 0.000 4.034
In 7.673 0.000 0.000
Ni 3.518 0.000 2.398
Ni 9.596 0.000 4.226
Ge 2.939 0.000 4.872
Ge 5.905 0.000 2.234
Ge 7.210 0.000 4.390
Ge 10.176 0.000 1.752

***

11
Lattice="3.381 -4.484 0.000 3.381 4.484 0.000 -1.086 0.000 4.891" Properties=species:S:1:pos:R:3 comment="In2Ge2O7 (GGA-PBE, relaxed)" energy_ev_per_atom=-6.114 density_g_cm3=5.452 corrected_energy_ev_per_fu=-72.1 delta_e_f_ev_per_atom=-2.0616 spacegroup="No. 12" de_polymorph_ev_per_atom=0.000 vol_a3_per_atom=13.481 pbc="T T T"
In 3.381 2.763 0.000
In 3.381 -2.763 0.000
Ge 1.158 0.000 2.908
Ge 4.518 0.000 1.983
O 0.313 0.000 1.342
O 0.906 1.481 3.860
O 0.906 -1.481 3.860
O 2.838 0.000 2.445
O 4.770 1.481 1.031
O 4.770 -1.481 1.031
O 5.362 0.000 3.548

***

22
Lattice="0.000 4.945 4.945 4.945 0.000 4.945 4.945 4.945 0.000" Properties=species:S:1:pos:R:3 comment="In2Ge2O7 (GGA-PBE, relaxed)" energy_ev_per_atom=-6.093 density_g_cm3=6.686 magnetic_moment_mub_per_fu=0.000 corrected_energy_ev_per_fu=-71.8 delta_e_f_ev_per_atom=-2.0407 spacegroup="No. 227" de_polymorph_ev_per_atom=0.021 vol_a3_per_atom=10.994 pbc="T T T"
In 0.000 0.000 0.000
In 2.473 2.473 0.000
In 2.473 0.000 2.473
In 0.000 2.473 2.473
Ge 4.945 2.473 2.473
Ge 2.473 4.945 2.473
Ge 2.473 2.473 4.945
Ge 4.945 4.945 4.945
O 1.236 1.236 1.236
O 3.709 3.709 1.693
O 3.709 1.693 3.709
O 5.725 3.709 3.709
O 6.181 6.181 4.165
O 6.181 4.165 6.181
O 8.198 6.181 6.181
O 1.693 3.709 3.709
O 3.709 5.725 3.709
O 3.709 3.709 5.725
O 4.165 6.181 6.181
O 6.181 8.198 6.181
O 6.181 6.181 8.198
O 8.654 8.654 8.654

***

102
Lattice="7.514 -4.314 0.000 7.514 4.314 0.000 -0.289 0.000 22.009" Properties=species:S:1:pos:R:3 comment="InGePS2O12 (GGA-PBE, relaxed)" energy_ev_per_atom=-6.257 density_g_cm3=3.314 magnetic_moment_mub_per_fu=0.003 corrected_energy_ev_per_fu=-114.6 delta_e_f_ev_per_atom=-2.0100 spacegroup="No. 9" vol_a3_per_atom=13.988 pbc="T T T"
In 7.370 4.308 11.004
In 5.039 0.027 7.320
In 4.895 -0.027 18.324
In 9.950 0.055 14.672
In 10.095 -0.055 3.668
In 7.514 -4.308 0.000
Ge 7.514 4.132 4.747
Ge 4.914 0.047 12.074
Ge 5.058 -0.047 1.070
Ge 9.987 0.007 8.421
Ge 9.842 -0.007 19.425
Ge 7.369 -4.132 15.752
P 5.495 2.858 2.435
P 4.734 2.462 9.755
P 8.029 1.328 6.096
P 4.589 -2.462 20.760
P 7.885 -1.328 17.101
P 5.351 -2.858 13.439
S 2.171 1.085 13.436
S 2.752 1.395 20.779
S 7.224 1.865 13.442
S 2.316 -1.085 2.432
S 9.652 2.573 17.099
S 2.897 -1.395 9.775
S 7.092 1.077 20.797
S 7.237 -1.077 9.793
S 12.318 1.047 6.126
S 7.369 -1.865 2.438
S 12.173 -1.047 17.130
S 9.797 -2.573 6.095
O 1.392 0.891 12.225
O 1.378 0.925 20.956
O 1.507 0.514 14.665
O 6.372 3.104 3.740
O 3.876 1.132 0.002
O 4.514 1.550 11.034
O 4.967 1.850 17.333
O 3.302 0.807 19.565
O 3.251 0.652 6.275
O 5.015 1.663 8.512
O 7.047 2.756 14.631
O 1.652 -0.514 3.661
O 8.283 3.170 16.870
O 8.045 2.897 5.975
O 1.536 -0.891 1.221
O 3.459 0.305 13.349
O 1.523 -0.925 9.951
O 7.619 2.579 12.228
O 5.567 1.305 2.218
O 7.555 2.454 21.010
O 5.870 1.227 13.274
O 3.604 -0.305 2.345
O 3.107 -0.652 17.279
O 6.229 1.075 19.621
O 3.447 -0.807 8.561
O 6.610 0.834 6.276
O 6.416 0.502 22.007
O 3.731 -1.132 11.007
O 9.484 1.733 18.329
O 8.223 0.817 13.653
O 10.123 1.803 2.572
O 8.934 1.083 7.375
O 10.072 1.791 15.937
O 4.658 -1.550 0.030
O 8.617 0.710 4.856
O 6.561 -0.502 11.003
O 5.422 -1.305 13.223
O 4.870 -1.663 19.517
O 10.446 1.415 9.673
O 6.465 -0.834 17.280
O 6.015 -1.227 2.270
O 8.296 0.200 20.604
O 6.374 -1.075 8.617
O 5.111 -1.850 6.329
O 8.441 -0.200 9.599
O 10.731 1.088 20.595
O 11.417 1.044 13.651
O 8.368 -0.817 2.649
O 8.472 -0.710 15.860
O 11.544 0.944 4.894
O 8.789 -1.083 18.380
O 11.643 0.439 7.325
O 6.227 -3.104 14.744
O 13.227 0.847 20.929
O 7.191 -2.756 3.627
O 7.700 -2.454 10.006
O 7.764 -2.579 1.224
O 13.427 0.724 12.251
O 11.498 -0.439 18.329
O 9.629 -1.733 7.325
O 10.876 -1.088 9.590
O 10.301 -1.415 20.677
O 7.900 -2.897 16.979
O 13.597 0.269 6.001
O 11.399 -0.944 15.898
O 9.979 -1.803 13.577
O 10.217 -1.791 4.933
O 11.562 -1.044 2.647
O 8.428 -3.170 5.866
O 13.452 -0.269 17.006
O 13.572 -0.724 1.246
O 13.372 -0.847 9.925